[1]
Here is a relaxed structure of Pr4As2S9 from Materials Project. Energies are from PBE.

Lattice parameters (Å, degrees): 29.4925 7.0764 7.1401 90.00 90.00 90.00
Closest atoms and distances in Å follow each position.
Fractional coordinates of all 60 atoms:
Pr  0.0567  0.2044  0.0443  7 S 2.87-3.12
Pr  0.0567  0.7956  0.5443  7 S 2.87-3.12
Pr  0.2072  0.2965  0.3218  7 S 2.84-3.04
Pr  0.2072  0.7035  0.8218  7 S 2.84-3.04
Pr  0.2928  0.2035  0.8218  7 S 2.84-3.04
Pr  0.2928  0.7965  0.3218  7 S 2.84-3.04
Pr  0.4433  0.2956  0.5443  7 S 2.87-3.12
Pr  0.4433  0.7044  0.0443  7 S 2.87-3.12
Pr  0.5567  0.2956  0.9557  7 S 2.87-3.12
Pr  0.5567  0.7044  0.4557  7 S 2.87-3.12
Pr  0.7072  0.2035  0.6782  7 S 2.84-3.04
Pr  0.7072  0.7965  0.1782  7 S 2.84-3.04
Pr  0.7928  0.2965  0.1782  7 S 2.84-3.04
Pr  0.7928  0.7035  0.6782  7 S 2.84-3.04
Pr  0.9433  0.2044  0.4557  7 S 2.87-3.12
Pr  0.9433  0.7956  0.9557  7 S 2.87-3.12
As  0.0956  0.3050  0.5750  3 S 2.27-2.30
As  0.0956  0.6950  0.0750  3 S 2.27-2.30
As  0.4044  0.1950  0.0750  3 S 2.27-2.30
As  0.4044  0.8050  0.5750  3 S 2.27-2.30
As  0.5956  0.1950  0.4250  3 S 2.27-2.30
As  0.5956  0.8050  0.9250  3 S 2.27-2.30
As  0.9044  0.3050  0.9250  3 S 2.27-2.30
As  0.9044  0.6950  0.4250  3 S 2.27-2.30
S  0.0000  0.0621  0.7500  4 Pr 2.87-2.92
S  0.0000  0.9379  0.2500  4 Pr 2.87-2.92
S  0.0407  0.4182  0.3838  1 As 2.27
S  0.0407  0.5818  0.8838  1 As 2.27
S  0.1197  0.0746  0.3705  1 As 2.30
S  0.1197  0.9254  0.8705  1 As 2.30
S  0.1438  0.4448  0.0215  1 As 2.30
S  0.1438  0.5552  0.5215  1 As 2.30
S  0.2356  0.0005  0.0729  4 Pr 2.84-2.89
S  0.2356  0.9995  0.5729  4 Pr 2.84-2.89
S  0.2644  0.5005  0.0729  4 Pr 2.84-2.89
S  0.2644  0.4995  0.5729  4 Pr 2.84-2.89
S  0.3562  0.0552  0.5215  1 As 2.30
S  0.3562  0.9448  0.0215  1 As 2.30
S  0.3803  0.4254  0.8705  1 As 2.30
S  0.3803  0.5746  0.3705  1 As 2.30
S  0.4593  0.0818  0.8838  1 As 2.27
S  0.4593  0.9182  0.3838  1 As 2.27
S  0.5000  0.4379  0.2500  4 Pr 2.87-2.92
S  0.5000  0.5621  0.7500  4 Pr 2.87-2.92
S  0.5407  0.0818  0.6162  1 As 2.27
S  0.5407  0.9182  0.1162  1 As 2.27
S  0.6197  0.4254  0.6295  1 As 2.30
S  0.6197  0.5746  0.1295  1 As 2.30
S  0.6438  0.0552  0.9785  1 As 2.30
S  0.6438  0.9448  0.4785  1 As 2.30
S  0.7356  0.5005  0.4271  4 Pr 2.84-2.89
S  0.7356  0.4995  0.9271  4 Pr 2.84-2.89
S  0.7644  0.0005  0.4271  4 Pr 2.84-2.89
S  0.7644  0.9995  0.9271  4 Pr 2.84-2.89
S  0.8562  0.4448  0.4785  1 As 2.30
S  0.8562  0.5552  0.9785  1 As 2.30
S  0.8803  0.0746  0.1295  1 As 2.30
S  0.8803  0.9254  0.6295  1 As 2.30
S  0.9593  0.4182  0.1162  1 As 2.27
S  0.9593  0.5818  0.6162  1 As 2.27

Properties
- E (MP2020): -366.5 eV for the cell shown
- SG: Pbcn (60)
- Formation enthalpy at 0 K: -1.7309 eV/atom
- Size of the total moment: 0.0001 μB/atom

***

[2]
Here is a relaxed structure of K2Cd3H10S4O21 from Materials Project. Energies are from PBE.

Lattice parameters (Å, degrees): 20.7256 10.0804 10.2181 90.00 98.47 90.00
Closest atoms and distances in Å follow each position.
Fractional coordinates of all 160 atoms:
K  0.1135  0.2355  0.3635  7 O 2.83-3.16, 1 H 3.16
K  0.1135  0.2645  0.8635  7 O 2.83-3.16, 1 H 3.16
K  0.2498  0.0096  0.7762  7 O 2.81-3.10
K  0.2498  0.4904  0.2762  7 O 2.81-3.10
K  0.7502  0.5096  0.7238  7 O 2.81-3.10
K  0.7502  0.9904  0.2238  7 O 2.81-3.10
K  0.8865  0.7355  0.1365  7 O 2.83-3.16, 1 H 3.16
K  0.8865  0.7645  0.6365  7 O 2.83-3.16, 1 H 3.16
Cd  0.0644  0.6957  0.8788  4 O 2.22-2.30, 1 H 2.39
Cd  0.0644  0.8043  0.3788  4 O 2.22-2.30, 1 H 2.39
Cd  0.3271  0.6740  0.7040  5 O 2.23-2.36
Cd  0.3271  0.8260  0.2040  5 O 2.23-2.36
Cd  0.3296  0.1219  0.4175  6 O 2.31-2.41
Cd  0.3296  0.3781  0.9175  6 O 2.31-2.41
Cd  0.6704  0.6219  0.0825  6 O 2.31-2.41
Cd  0.6704  0.8781  0.5825  6 O 2.31-2.41
Cd  0.6729  0.1740  0.7960  5 O 2.23-2.36
Cd  0.6729  0.3260  0.2960  5 O 2.23-2.36
Cd  0.9356  0.1957  0.6212  4 O 2.22-2.30, 1 H 2.39
Cd  0.9356  0.3043  0.1212  4 O 2.22-2.30, 1 H 2.39
H  0.0018  0.6580  0.4948  1 Cd 2.39, 2 O 2.41-2.67
H  0.0018  0.8420  0.9948  1 Cd 2.39, 2 O 2.41-2.67
H  0.1394  0.6779  0.6702  1 O 0.99
H  0.1394  0.8221  0.1702  1 O 0.99
H  0.1601  0.0268  0.1634  1 O 1.00
H  0.1601  0.4732  0.6634  1 O 1.00
H  0.3937  0.1899  0.7771  1 O 0.99
H  0.3937  0.3101  0.2771  1 O 0.99
H  0.4204  0.0006  0.2891  1 O 0.98
H  0.4204  0.4994  0.7891  1 O 0.98
H  0.4255  0.6603  0.4592  1 H 0.75
H  0.4255  0.8397  0.9592  1 H 0.75
H  0.4258  0.7210  0.4164  1 H 0.75
H  0.4258  0.7790  0.9164  1 H 0.75
H  0.4311  0.1593  0.9196  1 O 0.98
H  0.4311  0.3407  0.4196  1 O 0.98
H  0.4453  0.5774  0.9767  1 O 1.03
H  0.4453  0.9226  0.4767  1 O 1.03
H  0.4459  0.1011  0.1051  1 H 1.96, 1 O 2.09
H  0.4459  0.3989  0.6051  1 H 1.96, 1 O 2.09
H  0.5541  0.6011  0.3949  1 H 1.96, 1 O 2.09
H  0.5541  0.8989  0.8949  1 H 1.96, 1 O 2.09
H  0.5547  0.0774  0.5233  1 O 1.03
H  0.5547  0.4226  0.0233  1 O 1.03
H  0.5689  0.6593  0.5804  1 O 0.98
H  0.5689  0.8407  0.0804  1 O 0.98
H  0.5742  0.2210  0.0836  1 H 0.75
H  0.5742  0.2790  0.5836  1 H 0.75
H  0.5745  0.1603  0.0408  1 H 0.75
H  0.5745  0.3397  0.5408  1 H 0.75
H  0.5796  0.5006  0.2109  1 O 0.98
H  0.5796  0.9994  0.7109  1 O 0.98
H  0.6063  0.6899  0.7229  1 O 0.99
H  0.6063  0.8101  0.2229  1 O 0.99
H  0.8399  0.5268  0.3366  1 O 1.00
H  0.8399  0.9732  0.8366  1 O 1.00
H  0.8606  0.1779  0.8298  1 O 0.99
H  0.8606  0.3221  0.3298  1 O 0.99
H  0.9982  0.1580  0.0052  1 Cd 2.39, 2 O 2.41-2.67
H  0.9982  0.3420  0.5052  1 Cd 2.39, 2 O 2.41-2.67
S  0.0648  0.5410  0.1962  4 O 1.47-1.52
S  0.0648  0.9590  0.6962  4 O 1.47-1.52
S  0.2331  0.6716  0.9531  4 O 1.48-1.51
S  0.2331  0.8284  0.4531  4 O 1.48-1.51
S  0.2466  0.1668  0.1046  4 O 1.48-1.51
S  0.2466  0.3332  0.6046  4 O 1.48-1.51
S  0.4270  0.5277  0.1703  4 O 1.45-1.57
S  0.4270  0.9723  0.6703  4 O 1.45-1.57
S  0.5730  0.0277  0.3297  4 O 1.45-1.57
S  0.5730  0.4723  0.8297  4 O 1.45-1.57
S  0.7534  0.6668  0.3954  4 O 1.48-1.51
S  0.7534  0.8332  0.8954  4 O 1.48-1.51
S  0.7669  0.1716  0.5469  4 O 1.48-1.51
S  0.7669  0.3284  0.0469  4 O 1.48-1.51
S  0.9352  0.0410  0.3038  4 O 1.47-1.52
S  0.9352  0.4590  0.8038  4 O 1.47-1.52
O  0.0169  0.6399  0.2408  1 S 1.52
O  0.0169  0.8601  0.7408  1 S 1.52
O  0.0296  0.0862  0.6548  1 S 1.51
O  0.0296  0.4138  0.1548  1 S 1.51
O  0.0922  0.5981  0.0806  1 S 1.50
O  0.0922  0.9019  0.5806  1 S 1.50
O  0.1000  0.6215  0.6484  1 H 0.99
O  0.1000  0.8785  0.1484  1 H 0.99
O  0.1177  0.5126  0.3052  1 S 1.47
O  0.1177  0.9874  0.8052  1 S 1.47
O  0.1218  0.0059  0.2083  1 H 1.00
O  0.1218  0.4941  0.7083  1 H 1.00
O  0.1712  0.7173  0.8738  1 S 1.49
O  0.1712  0.7827  0.3738  1 S 1.49
O  0.1902  0.2309  0.1526  1 S 1.48
O  0.1902  0.2691  0.6526  1 S 1.48
O  0.2339  0.0195  0.0965  1 S 1.51
O  0.2339  0.4805  0.5965  1 S 1.51
O  0.2355  0.7121  0.0933  1 S 1.48
O  0.2355  0.7879  0.5933  1 S 1.48
O  0.2410  0.5258  0.9420  1 S 1.49
O  0.2410  0.9742  0.4420  1 S 1.49
O  0.2528  0.2180  0.9696  1 S 1.50
O  0.2528  0.2820  0.4696  1 S 1.50
O  0.2874  0.7404  0.8953  1 S 1.51
O  0.2874  0.7596  0.3953  1 S 1.51
O  0.3077  0.1922  0.1955  1 S 1.48
O  0.3077  0.3078  0.6955  1 S 1.48
O  0.3296  0.5746  0.5084  1 Cd 2.24, 1 H 2.29, 2 O 2.30-2.48
O  0.3296  0.9254  0.0084  1 Cd 2.24, 1 H 2.29, 2 O 2.30-2.48
O  0.3708  0.6164  0.1787  1 S 1.48
O  0.3708  0.8836  0.6787  1 S 1.48
O  0.3905  0.1959  0.8725  2 H 0.98-0.99
O  0.3905  0.3041  0.3725  2 H 0.98-0.99
O  0.3923  0.5458  0.8435  1 H 0.98
O  0.3923  0.9542  0.3435  1 H 0.98
O  0.4018  0.1019  0.6120  1 S 1.50
O  0.4018  0.3981  0.1120  1 S 1.50
O  0.4694  0.5913  0.0710  1 H 1.03
O  0.4694  0.9087  0.5710  1 H 1.03
O  0.4712  0.5087  0.2922  1 S 1.45
O  0.4712  0.9913  0.7922  1 S 1.45
O  0.5288  0.0087  0.2078  1 S 1.45
O  0.5288  0.4913  0.7078  1 S 1.45
O  0.5306  0.0913  0.4290  1 H 1.03
O  0.5306  0.4087  0.9290  1 H 1.03
O  0.5982  0.6019  0.8880  1 S 1.50
O  0.5982  0.8981  0.3880  1 S 1.50
O  0.6077  0.0458  0.6565  1 H 0.98
O  0.6077  0.4542  0.1565  1 H 0.98
O  0.6095  0.6959  0.6275  2 H 0.98-0.99
O  0.6095  0.8041  0.1275  2 H 0.98-0.99
O  0.6292  0.1164  0.3213  1 S 1.48
O  0.6292  0.3836  0.8213  1 S 1.48
O  0.6704  0.0746  0.9916  1 Cd 2.24, 1 H 2.29, 2 O 2.30-2.48
O  0.6704  0.4254  0.4916  1 Cd 2.24, 1 H 2.29, 2 O 2.30-2.48
O  0.6923  0.6922  0.3045  1 S 1.48
O  0.6923  0.8078  0.8045  1 S 1.48
O  0.7126  0.2404  0.6047  1 S 1.51
O  0.7126  0.2596  0.1047  1 S 1.51
O  0.7472  0.7180  0.5304  1 S 1.50
O  0.7472  0.7820  0.0304  1 S 1.50
O  0.7590  0.0258  0.5580  1 S 1.49
O  0.7590  0.4742  0.0580  1 S 1.49
O  0.7645  0.2121  0.4067  1 S 1.48
O  0.7645  0.2879  0.9067  1 S 1.48
O  0.7661  0.5195  0.4035  1 S 1.51
O  0.7661  0.9805  0.9035  1 S 1.51
O  0.8098  0.7309  0.3474  1 S 1.48
O  0.8098  0.7691  0.8474  1 S 1.48
O  0.8288  0.2173  0.6262  1 S 1.49
O  0.8288  0.2827  0.1262  1 S 1.49
O  0.8782  0.5059  0.2917  1 H 1.00
O  0.8782  0.9941  0.7917  1 H 1.00
O  0.8823  0.0126  0.1948  1 S 1.47
O  0.8823  0.4874  0.6948  1 S 1.47
O  0.9000  0.1215  0.8516  1 H 0.99
O  0.9000  0.3785  0.3516  1 H 0.99
O  0.9078  0.0981  0.4194  1 S 1.50
O  0.9078  0.4019  0.9194  1 S 1.50
O  0.9704  0.5862  0.8452  1 S 1.51
O  0.9704  0.9138  0.3452  1 S 1.51
O  0.9831  0.1399  0.2592  1 S 1.52
O  0.9831  0.3601  0.7592  1 S 1.52

Properties
- E (MP2020): -837.7 eV for the cell shown
- SG: P2_1/c (14)
- Formation enthalpy at 0 K: -1.2511 eV/atom
- Size of the total moment: 0.0003 μB/atom

***

[3]
Here is a relaxed structure of HfGaAu from Materials Project. Energies are from PBE.

Lattice parameters (Å, degrees): 4.3733 4.3733 6.7108 90.00 90.00 120.00
Closest atoms and distances in Å follow each position.
Fractional coordinates of all 6 atoms:
Hf  0.0000  0.0000  0.0000  6 Ga 2.89, 6 Au 3.17
Hf  0.0000  0.0000  0.5000  6 Au 2.90, 6 Ga 3.18
Ga  0.6667  0.3333  0.2110  3 Au 2.58, 1 Ga 2.83
Ga  0.6667  0.3333  0.7890  3 Au 2.58, 1 Ga 2.83
Au  0.3333  0.6667  0.2864  3 Ga 2.58, 1 Au 2.87
Au  0.3333  0.6667  0.7136  3 Ga 2.58, 1 Au 2.87

Properties
- SG: P-6m2 (187)
- Formation enthalpy at 0 K: -0.5118 eV/atom

***

- The lowest formation enthalpy at 0 K belongs to which entry?
  Pr4As2S9

***

- Which formula does entry 1 have?
  Pr4As2S9

***

- What is the formation enthalpy at 0 K in the first record?
  -1.7309 eV/atom

***

- Which value of formation enthalpy at 0 K does entry 2 give?
  -1.2511 eV/atom